An optimized crystal structure of La3SiBr3, computed with PBE.

The value obtained for the formation energy is -1745 meV per atom. The density is 4.9 g/cm³. As for the space group: No. 214. The energy comes out at -35.755 eV/f.u.

Geometry as POSCAR:
```
La3SiBr3
1.0
5.061 -8.805 3.182
-10.317 -2.168 -1.454
4.231 3.414 -9.149
La Si Br
12 4 12
Direct
0.490 0.750 0.010 La
0.750 0.240 0.260 La
0.240 0.260 0.750 La
0.480 0.490 0.240 La
0.260 0.010 0.020 La
0.240 0.480 0.490 La
0.010 0.020 0.260 La
0.010 0.490 0.750 La
0.490 0.240 0.480 La
0.750 0.010 0.490 La
0.020 0.260 0.010 La
0.260 0.750 0.240 La
0.250 0.250 0.250 Si
0.000 0.250 0.500 Si
0.250 0.500 0.000 Si
0.500 0.000 0.250 Si
0.996 0.991 0.746 Br
0.754 0.746 0.250 Br
0.991 0.746 0.996 Br
0.250 0.996 0.504 Br
0.746 0.996 0.991 Br
0.504 0.250 0.996 Br
0.746 0.250 0.754 Br
0.504 0.754 0.509 Br
0.754 0.509 0.504 Br
0.250 0.754 0.746 Br
0.509 0.504 0.754 Br
0.996 0.504 0.250 Br
```

An optimized crystal structure of La5Sn3Br, computed with PBE.

The value obtained for the formation energy is -1035 meV per atom. The density is 6.6 g/cm³. As for the space group: No. 193. The energy comes out at -47.130 eV/f.u.

Geometry as POSCAR:
```
La5Sn3Br
1.0
2.434 0.183 -9.400
-3.644 -8.106 3.916
-6.483 2.123 -1.638
La Sn Br
10 6 2
Direct
0.269 0.269 0.750 La
0.000 0.731 0.750 La
0.731 0.000 0.750 La
0.000 0.269 0.250 La
0.333 0.667 0.500 La
0.731 0.731 0.250 La
0.667 0.333 0.500 La
0.269 0.000 0.250 La
0.333 0.667 0.000 La
0.667 0.333 0.000 La
0.614 0.000 0.250 Sn
0.000 0.386 0.750 Sn
0.386 0.000 0.750 Sn
0.614 0.614 0.750 Sn
0.000 0.614 0.250 Sn
0.386 0.386 0.250 Sn
0.000 0.000 0.000 Br
0.000 0.000 0.500 Br
```

An optimized crystal structure of Li2MgBr4, computed with PBE.

For the relative energy among the computed polymorphs, the calculation gives 54.4 meV per atom. The value obtained for the formation energy is -1779 meV per atom. For the spin magnetization, the calculation gives 0.00 μB per formula unit. The density is 3.5 g/cm³. As for the space group: No. 74. The energy comes out at -22.282 eV/f.u.

Geometry as POSCAR:
```
Li2MgBr4
1.0
-3.973 3.983 5.317
3.973 -3.983 5.317
3.973 3.983 -5.317
Li Mg Br
4 2 8
Direct
0.500 0.000 0.500 Li
0.000 0.000 0.000 Li
0.500 0.500 0.500 Li
0.500 0.000 0.000 Li
0.000 0.500 0.500 Mg
0.500 0.500 0.000 Mg
0.268 0.254 0.014 Br
0.740 0.254 0.486 Br
0.754 0.262 0.008 Br
0.754 0.746 0.492 Br
0.732 0.746 0.986 Br
0.260 0.746 0.514 Br
0.246 0.738 0.992 Br
0.246 0.254 0.508 Br
```

An optimized crystal structure of Li6MgBr8, computed with PBE.

The value obtained for the formation energy is -1822 meV per atom. The density is 3.5 g/cm³. As for the space group: No. 225. The energy comes out at -49.201 eV/f.u.

Geometry as POSCAR:
```
Li6MgBr8
1.0
2.155 -6.537 -3.719
-1.826 -6.991 3.000
-5.387 -4.470 -3.494
Li Mg Br
6 1 8
Direct
0.000 0.500 0.000 Li
0.500 0.000 0.000 Li
0.000 0.500 0.500 Li
0.500 0.000 0.500 Li
0.000 0.000 0.500 Li
0.500 0.500 0.000 Li
0.000 0.000 0.000 Mg
0.250 0.250 0.250 Br
0.750 0.750 0.750 Br
0.243 0.757 0.243 Br
0.243 0.757 0.757 Br
0.757 0.243 0.243 Br
0.757 0.757 0.243 Br
0.243 0.243 0.757 Br
0.757 0.243 0.757 Br
```

An optimized crystal structure of Li2MgBr4, computed with PBE.

For the relative energy among the computed polymorphs, the calculation gives 0.0 meV per atom. The value obtained for the formation energy is -1833 meV per atom. The density is 3.5 g/cm³. As for the space group: No. 65. The energy comes out at -22.663 eV/f.u.

Geometry as POSCAR:
```
Li2MgBr4
1.0
0.000 0.000 -3.891
-3.930 -5.569 0.000
-3.930 5.569 0.000
Li Mg Br
2 1 4
Direct
0.500 0.000 0.500 Li
0.500 0.500 0.000 Li
0.000 0.000 0.000 Mg
0.500 0.238 0.238 Br
0.500 0.762 0.762 Br
0.000 0.759 0.241 Br
0.000 0.241 0.759 Br
```

An optimized crystal structure of Li6Br3N, computed with PBE.

For the relative energy among the computed polymorphs, the calculation gives 10.8 meV per atom. The value obtained for the formation energy is -1110 meV per atom. For the spin magnetization, the calculation gives 0.00 μB per formula unit. The density is 2.6 g/cm³. As for the space group: No. 12. The energy comes out at -35.444 eV/f.u.

Geometry as POSCAR:
```
Li6Br3N
1.0
3.084 -4.799 -1.174
3.160 2.758 -4.041
6.613 0.529 1.569
Li Br N
6 3 1
Direct
0.855 0.855 0.855 Li
0.322 0.969 0.774 Li
0.031 0.678 0.226 Li
0.969 0.322 0.774 Li
0.678 0.031 0.226 Li
0.145 0.145 0.145 Li
0.233 0.767 0.500 Br
0.500 0.500 0.000 Br
0.767 0.233 0.500 Br
0.000 0.000 0.000 N
```

An optimized crystal structure of LiBrN, computed with PBE.

The value obtained for the formation energy is 611 meV per atom. For the spin magnetization, the calculation gives 3.00 μB per formula unit. The density is 2.2 g/cm³. As for the space group: No. 14. The energy comes out at -9.687 eV/f.u.

Geometry as POSCAR:
```
LiBrN
1.0
-2.468 2.093 6.137
5.084 -2.993 3.065
7.304 3.319 1.805
Li Br N
4 4 4
Direct
0.680 0.527 0.110 Li
0.820 0.527 0.610 Li
0.320 0.473 0.890 Li
0.180 0.473 0.390 Li
0.658 0.301 0.949 Br
0.842 0.301 0.449 Br
0.342 0.699 0.051 Br
0.158 0.699 0.551 Br
0.852 0.857 0.869 N
0.648 0.857 0.369 N
0.148 0.143 0.131 N
0.352 0.143 0.631 N
```

An optimized crystal structure of Li6Br3N, computed with PBE.

For the relative energy among the computed polymorphs, the calculation gives 18.2 meV per atom. The value obtained for the formation energy is -1103 meV per atom. For the spin magnetization, the calculation gives 0.00 μB per formula unit. The density is 2.7 g/cm³. The value obtained for the largest piezoelectric modulus is 0.90 C/m². As for the space group: No. 8. The energy comes out at -35.370 eV/f.u.

Geometry as POSCAR:
```
Li6Br3N
1.0
4.466 4.486 0.000
-4.466 4.486 0.000
0.000 4.472 4.563
Li Br N
6 3 1
Direct
0.296 0.296 0.569 Li
0.816 0.247 0.934 Li
0.139 0.139 0.127 Li
0.888 0.888 0.818 Li
0.741 0.741 0.366 Li
0.247 0.816 0.934 Li
0.750 0.251 0.499 Br
0.501 0.501 0.997 Br
0.251 0.750 0.499 Br
0.014 0.014 0.972 N
```

An optimized crystal structure of Li6Br3N, computed with PBE.

For the relative energy among the computed polymorphs, the calculation gives 6.6 meV per atom. The value obtained for the formation energy is -1115 meV per atom. The density is 2.7 g/cm³. As for the space group: No. 14. The energy comes out at -35.486 eV/f.u.

Geometry as POSCAR:
```
Li6Br3N
1.0
6.384 0.000 0.000
0.000 6.272 0.000
0.000 6.217 9.054
Li Br N
12 6 2
Direct
0.438 0.298 0.300 Li
0.829 0.216 0.035 Li
0.171 0.784 0.965 Li
0.671 0.216 0.535 Li
0.329 0.784 0.465 Li
0.764 0.907 0.926 Li
0.938 0.702 0.200 Li
0.736 0.907 0.426 Li
0.562 0.702 0.700 Li
0.062 0.298 0.800 Li
0.236 0.093 0.074 Li
0.264 0.093 0.574 Li
0.482 0.249 0.743 Br
0.518 0.751 0.257 Br
0.018 0.249 0.243 Br
0.982 0.751 0.757 Br
0.500 0.500 0.000 Br
0.000 0.500 0.500 Br
0.500 0.000 0.500 N
0.000 0.000 0.000 N
```

An optimized crystal structure of Li6Br3N, computed with PBE.

For the relative energy among the computed polymorphs, the calculation gives 0.0 meV per atom. The value obtained for the formation energy is -1121 meV per atom. The density is 2.6 g/cm³. As for the space group: No. 73. The energy comes out at -35.552 eV/f.u.

Geometry as POSCAR:
```
Li6Br3N
1.0
13.489 0.158 3.846
2.152 -10.330 9.242
-5.969 0.019 -12.694
Li Br N
48 24 8
Direct
0.452 0.625 0.960 Li
0.163 0.989 0.538 Li
0.352 0.358 0.780 Li
0.048 0.008 0.173 Li
0.663 0.124 0.174 Li
0.129 0.455 0.969 Li
0.987 0.666 0.546 Li
0.379 0.559 0.046 Li
0.486 0.955 0.825 Li
0.578 0.858 0.506 Li
0.621 0.441 0.954 Li
0.837 0.011 0.462 Li
0.079 0.085 0.724 Li
0.121 0.166 0.179 Li
0.148 0.928 0.006 Li
0.049 0.376 0.038 Li
0.836 0.508 0.460 Li
0.871 0.545 0.031 Li
0.013 0.334 0.454 Li
0.952 0.992 0.827 Li
0.548 0.375 0.040 Li
0.861 0.355 0.776 Li
0.639 0.415 0.493 Li
0.421 0.145 0.007 Li
0.986 0.160 0.531 Li
0.629 0.660 0.675 Li
0.921 0.915 0.276 Li
0.664 0.125 0.673 Li
0.514 0.045 0.175 Li
0.922 0.428 0.280 Li
0.078 0.572 0.720 Li
0.951 0.624 0.962 Li
0.337 0.876 0.826 Li
0.014 0.840 0.469 Li
0.371 0.340 0.325 Li
0.361 0.585 0.507 Li
0.164 0.492 0.540 Li
0.648 0.642 0.220 Li
0.879 0.834 0.821 Li
0.422 0.142 0.494 Li
0.852 0.072 0.994 Li
0.451 0.489 0.326 Li
0.336 0.875 0.327 Li
0.139 0.645 0.224 Li
0.513 0.059 0.679 Li
0.579 0.855 0.993 Li
0.549 0.511 0.674 Li
0.487 0.941 0.321 Li
0.750 0.221 0.471 Br
0.864 0.614 0.250 Br
0.638 0.359 0.743 Br
0.730 0.250 0.980 Br
0.116 0.895 0.757 Br
0.613 0.363 0.250 Br
0.750 0.721 0.971 Br
0.138 0.395 0.279 Br
0.270 0.750 0.020 Br
0.884 0.105 0.243 Br
0.113 0.863 0.250 Br
0.770 0.750 0.520 Br
0.250 0.279 0.029 Br
0.364 0.114 0.250 Br
0.636 0.886 0.750 Br
0.387 0.637 0.750 Br
0.230 0.250 0.480 Br
0.384 0.141 0.779 Br
0.616 0.859 0.221 Br
0.250 0.779 0.529 Br
0.136 0.386 0.750 Br
0.887 0.137 0.750 Br
0.362 0.641 0.257 Br
0.862 0.605 0.721 Br
0.500 0.500 0.500 N
0.000 0.000 0.000 N
0.500 0.500 0.000 N
0.500 0.000 0.000 N
0.000 0.500 0.500 N
0.500 0.000 0.500 N
0.000 0.000 0.500 N
0.000 0.500 0.000 N
```

An optimized crystal structure of Li6Br3N, computed with PBE.

For the relative energy among the computed polymorphs, the calculation gives 47.2 meV per atom. The value obtained for the formation energy is -1074 meV per atom. For the spin magnetization, the calculation gives 0.00 μB per formula unit. The density is 2.7 g/cm³. As for the space group: No. 225. The energy comes out at -35.080 eV/f.u.

Geometry as POSCAR:
```
Li6Br3N
1.0
0.739 -4.276 4.699
-1.730 1.485 5.976
-5.125 -2.779 2.630
Li Br N
6 3 1
Direct
0.712 0.712 0.288 Li
0.712 0.288 0.712 Li
0.288 0.712 0.288 Li
0.712 0.288 0.288 Li
0.288 0.288 0.712 Li
0.288 0.712 0.712 Li
0.250 0.250 0.250 Br
0.750 0.750 0.750 Br
0.000 0.000 0.000 Br
0.500 0.500 0.500 N
```

An optimized crystal structure of Na2LiTlBr6, computed with PBE.

The value obtained for the formation energy is -1298 meV per atom. For the spin magnetization, the calculation gives 0.00 μB per formula unit. The density is 3.8 g/cm³. As for the space group: No. 225. The energy comes out at -26.518 eV/f.u.

Geometry as POSCAR:
```
Na2LiTlBr6
1.0
5.378 -0.745 5.478
-1.929 -2.724 6.953
2.341 -7.018 2.177
Na Li Tl Br
2 1 1 6
Direct
0.750 0.750 0.750 Na
0.250 0.250 0.250 Na
0.500 0.500 0.500 Li
0.000 0.000 0.000 Tl
0.747 0.253 0.253 Br
0.253 0.253 0.747 Br
0.253 0.747 0.747 Br
0.253 0.747 0.253 Br
0.747 0.253 0.747 Br
0.747 0.747 0.253 Br
```